Gd5Y3O12: relaxed, PBE.

```
40
Lattice="-5.400 5.401 5.404 5.400 -5.401 5.404 5.400 5.401 -5.404" Properties=species:S:1:pos:R:3 pbc="T T T"
Gd 8.101 0.346 0.000
Gd 5.400 2.700 -0.344
Gd 0.350 0.000 2.702
Gd 0.000 2.700 0.344
Gd 2.700 5.055 0.000
Gd 2.700 0.351 5.404
Gd 5.400 2.700 5.042
Gd -0.350 5.401 2.702
Gd 0.000 2.700 5.767
Gd -2.700 5.050 5.404
Y 2.710 -2.699 2.706
Y 8.091 -2.702 2.706
Y 5.760 0.000 2.702
Y 2.710 2.699 2.698
Y 8.091 2.702 2.698
Y 5.041 5.401 2.702
O 3.754 1.308 -1.192
O 4.223 -3.771 4.089
O 4.109 -1.179 1.659
O 6.578 -1.630 4.089
O 1.647 1.308 1.192
O 4.093 4.207 -1.646
O 4.093 6.594 -3.759
O 1.647 -1.308 4.213
O 6.578 1.630 1.315
O 4.109 1.179 3.746
O 4.223 3.771 1.315
O 3.754 -1.308 6.596
O 1.642 6.701 -1.205
O 1.198 1.649 4.101
O 1.308 4.207 1.646
O -1.198 3.752 4.101
O 3.759 6.701 1.205
O 1.291 -1.179 9.150
O 1.291 1.179 7.063
O 3.759 4.101 4.199
O -1.198 7.049 1.304
O 1.308 6.594 3.759
O 1.198 9.153 1.304
O 1.642 4.101 6.610
```

Values from the calculation:
The value obtained for the volume is 15.8 Å³/atom. Its density is 6.558 g/cm³. For the formation energy, the calculation gives -3.92 eV/atom. As for the raw total energy: -10.97 eV/atom. Its space group is No. 24.

***

Dy3Mg2MoS8: relaxed, PBE.

```
14
Lattice="3.922 2.264 6.241 -3.922 2.264 6.241 0.000 -4.528 6.241" Properties=species:S:1:pos:R:3 pbc="T T T"
Dy -1.961 -1.132 6.241
Dy -1.961 1.132 12.481
Dy 0.000 2.264 6.241
Mg 0.000 0.000 2.349
Mg 0.000 0.000 16.372
Mo 0.000 0.000 9.361
S 0.000 0.000 4.773
S 0.000 -2.110 7.890
S -1.827 1.055 7.890
S -1.827 -1.055 10.831
S 1.827 1.055 7.890
S 1.827 -1.055 10.831
S 0.000 2.110 10.831
S 0.000 0.000 13.948
```

Values from the calculation:
The value obtained for the volume is 23.7 Å³/atom. Its density is 4.438 g/cm³. The value obtained for the total moment is 3.0 μB/f.u. For the formation energy, the calculation gives -1.83 eV/atom. As for the raw total energy: -5.90 eV/atom. Its space group is No. 166.

***

KNaSmTaO5: relaxed, PBE.

```
18
Lattice="5.749 0.000 0.000 0.000 5.749 0.000 0.000 0.000 8.321" Properties=species:S:1:pos:R:3 pbc="T T T"
K 1.437 4.312 0.000
K 4.312 1.437 0.000
Na 1.437 1.437 2.004
Na 4.312 4.312 6.316
Sm 1.437 4.312 4.160
Sm 4.312 1.437 4.160
Ta 1.437 1.437 6.161
Ta 4.312 4.312 2.160
O 0.108 0.108 5.566
O 0.108 2.766 5.566
O 1.437 1.437 8.027
O 2.766 0.108 5.566
O 2.766 2.766 5.566
O 2.983 2.983 2.755
O 2.983 5.641 2.755
O 4.312 4.312 0.294
O 5.641 2.983 2.755
O 5.641 5.641 2.755
```

Values from the calculation:
The value obtained for the volume is 15.3 Å³/atom. Its density is 5.717 g/cm³. The value obtained for the total moment is 0.0 μB/f.u. For the formation energy, the calculation gives -3.13 eV/atom. As for the raw total energy: -7.60 eV/atom. Its space group is No. 129.

***

TiMo6Se8: relaxed, PBE.

```
15
Lattice="4.755 2.745 3.787 -4.755 2.745 3.787 0.000 -5.490 3.787" Properties=species:S:1:pos:R:3 pbc="T T T"
Ti 0.000 0.000 0.000
Mo -0.927 -1.251 4.547
Mo -0.620 1.429 4.547
Mo -1.547 0.177 6.815
Mo 1.547 -0.177 4.547
Mo 0.620 -1.429 6.815
Mo 0.927 1.251 6.815
Se -3.009 0.446 4.711
Se 0.000 0.000 2.527
Se -1.891 -2.383 6.650
Se 1.118 -2.829 4.711
Se -1.118 2.829 6.650
Se 1.891 2.383 4.711
Se 0.000 0.000 8.835
Se 3.009 -0.446 6.650
```

Values from the calculation:
The value obtained for the volume is 19.8 Å³/atom. Its density is 7.027 g/cm³. The value obtained for the total moment is 0.0 μB/f.u. For the formation energy, the calculation gives -0.76 eV/atom. As for the raw total energy: -7.24 eV/atom. Its space group is No. 148.

***

Among the records above, which one has the lowest formation energy? Gd5Y3O12